# BaHfS3 r2SCAN optimized geometry
data_BaHfS3
_chemical_formula_sum 'Ba4 Hf4 S12'
_cell_length_a 7.045
_cell_length_b 9.976
_cell_length_c 7.019
_cell_angle_alpha 90.00
_cell_angle_beta 90.00
_cell_angle_gamma 90.00
_symmetry_space_group_name_H-M 'P n m a'
_symmetry_Int_Tables_number 62
_symmetry_space_group_name_Hall '-P 2ac 2n'
loop_
_atom_site_label
_atom_site_fract_x
_atom_site_fract_y
_atom_site_fract_z
Ba1 0.037 0.250 0.007
Hf1 0.000 0.000 0.500
S1 0.002 0.750 0.447
S2 0.216 0.528 0.784
# - magnetic moment (μB/f.u.) = 0.000
# - E_form (eV per atom) = -2.10